YS2 | Materials Project | PBE | relaxed; space group = Fd-3m, No. 227; ΔH_f (0 K) = -1.172 eV per formula unit
1.0
0.000 3.915 3.915
3.915 0.000 3.915
3.915 3.915 0.000
Y S
2 4
Direct
0.125 0.125 0.125
0.875 0.875 0.875
0.000 0.500 0.500
0.500 0.000 0.500
0.500 0.500 0.000
0.500 0.500 0.500

---

YS | Materials Project | PBE | relaxed; space group = Fm-3m, No. 225; ΔH_f (0 K) = -4.491 eV per formula unit
1.0
5.541 0.000 0.000
0.000 5.541 0.000
0.000 0.000 5.541
Y S
4 4
Direct
0.000 0.000 0.000
0.000 0.500 0.500
0.500 0.000 0.500
0.500 0.500 0.000
0.000 0.000 0.500
0.000 0.500 0.000
0.500 0.000 0.000
0.500 0.500 0.500

---

YS | Materials Project | PBE | relaxed; space group = I4/mmm, No. 139; ΔH_f (0 K) = -4.077 eV per formula unit
1.0
3.818 0.000 0.000
0.000 3.818 0.000
0.000 0.000 21.350
Y S
4 4
Direct
0.000 0.000 0.196
0.000 0.000 0.804
0.500 0.500 0.304
0.500 0.500 0.696
0.000 0.000 0.327
0.000 0.000 0.673
0.500 0.500 0.173
0.500 0.500 0.827

---

Y2S3 | Materials Project | PBE | relaxed; space group = I-42d, No. 122; ΔH_f (0 K) = -11.702 eV per formula unit
1.0
-4.177 4.177 12.480
4.177 -4.177 12.480
4.177 4.177 -12.480
Y S
16 24
Direct
0.049 0.428 0.900
0.165 0.165 0.000
0.178 0.299 0.400
0.222 0.822 0.121
0.257 0.125 0.632
0.375 0.743 0.868
0.493 0.625 0.368
0.528 0.149 0.100
0.572 0.472 0.621
0.585 0.085 0.500
0.701 0.101 0.879
0.835 0.835 0.000
0.851 0.951 0.379
0.875 0.507 0.132
0.899 0.778 0.600
0.915 0.415 0.500
0.000 0.115 0.246
0.074 0.828 0.614
0.172 0.786 0.246
0.188 0.094 0.747
0.191 0.597 0.753
0.210 0.464 0.886
0.214 0.460 0.386
0.246 0.000 0.115
0.347 0.441 0.253
0.403 0.156 0.595
0.504 0.119 0.254
0.536 0.422 0.746
0.540 0.926 0.754
0.559 0.812 0.905
0.562 0.809 0.405
0.578 0.324 0.114
0.676 0.790 0.254
0.750 0.496 0.615
0.844 0.438 0.247
0.865 0.250 0.746
0.869 0.754 0.754
0.881 0.135 0.385
0.885 0.131 0.885
0.906 0.653 0.095

---

Y2S3 | Materials Project | PBE | relaxed; space group = P2_1/m, No. 11; ΔH_f (0 K) = -11.880 eV per formula unit
1.0
10.234 0.000 0.000
0.000 4.044 0.000
-2.661 0.000 17.470
Y S
12 18
Direct
0.014 0.250 0.101
0.050 0.750 0.615
0.311 0.250 0.479
0.313 0.250 0.780
0.329 0.750 0.281
0.375 0.250 0.070
0.625 0.750 0.930
0.671 0.250 0.719
0.687 0.750 0.220
0.689 0.750 0.521
0.950 0.250 0.385
0.986 0.750 0.899
0.115 0.750 0.467
0.132 0.250 0.968
0.138 0.750 0.782
0.180 0.250 0.317
0.210 0.750 0.130
0.232 0.250 0.627
0.449 0.250 0.925
0.451 0.750 0.424
0.493 0.250 0.232
0.507 0.750 0.768
0.549 0.250 0.576
0.551 0.750 0.075
0.768 0.750 0.373
0.790 0.250 0.870
0.820 0.750 0.683
0.862 0.250 0.218
0.868 0.750 0.032
0.885 0.250 0.533

---

YZrS2 | Materials Project | PBE | relaxed; space group = R-3m, No. 166; ΔH_f (0 K) = -7.633 eV per formula unit
1.0
3.856 0.000 0.000
-1.928 3.340 0.000
0.000 0.000 18.288
Y Zr S
3 3 6
Direct
0.000 0.000 0.000
0.333 0.667 0.667
0.667 0.333 0.333
0.000 0.000 0.500
0.333 0.667 0.167
0.667 0.333 0.833
0.000 0.000 0.247
0.000 0.000 0.753
0.333 0.667 0.420
0.333 0.667 0.913
0.667 0.333 0.087
0.667 0.333 0.580

---

Y2ZrS5 | Materials Project | PBE | relaxed; space group = Pnma, No. 62; ΔH_f (0 K) = -17.426 eV per formula unit
1.0
11.616 0.000 0.000
0.000 7.768 0.000
0.000 0.000 7.272
Y Zr S
8 4 20
Direct
0.179 0.003 0.022
0.179 0.497 0.022
0.321 0.503 0.522
0.321 0.997 0.522
0.679 0.003 0.478
0.679 0.497 0.478
0.821 0.503 0.978
0.821 0.997 0.978
0.006 0.750 0.578
0.494 0.250 0.078
0.506 0.750 0.922
0.994 0.250 0.422
0.002 0.750 0.948
0.095 0.037 0.661
0.095 0.463 0.661
0.182 0.750 0.330
0.208 0.250 0.310
0.292 0.750 0.810
0.318 0.250 0.830
0.405 0.537 0.161
0.405 0.963 0.161
0.498 0.250 0.448
0.502 0.750 0.552
0.595 0.037 0.839
0.595 0.463 0.839
0.682 0.750 0.170
0.708 0.250 0.190
0.792 0.750 0.690
0.818 0.250 0.670
0.905 0.537 0.339
0.905 0.963 0.339
0.998 0.250 0.052

---

ZnS | Materials Project | PBE | relaxed; space group = P1, No. 1; ΔH_f (0 K) = -1.235 eV per formula unit
1.0
13.220 0.000 0.000
1.491 13.238 0.000
1.802 -0.164 13.892
Zn S
50 50
Direct
0.000 0.000 0.000
0.001 0.036 0.274
0.018 0.331 0.940
0.067 0.690 0.981
0.073 0.445 0.542
0.074 0.250 0.109
0.125 0.256 0.315
0.144 0.215 0.815
0.145 0.950 0.858
0.170 0.196 0.521
0.183 0.690 0.429
0.192 0.536 0.852
0.217 0.765 0.670
0.239 0.859 0.116
0.263 0.389 0.028
0.335 0.675 0.985
0.337 0.105 0.199
0.339 0.467 0.491
0.384 0.210 0.387
0.390 0.809 0.820
0.426 0.719 0.545
0.469 0.682 0.089
0.486 0.242 0.645
0.492 0.496 0.886
0.516 0.408 0.105
0.524 0.911 0.011
0.554 0.427 0.541
0.569 0.161 0.056
0.585 0.939 0.711
0.590 0.667 0.784
0.597 0.035 0.262
0.617 0.865 0.470
0.664 0.516 0.186
0.691 0.123 0.760
0.692 0.415 0.737
0.700 0.810 0.212
0.712 0.233 0.963
0.745 0.271 0.313
0.752 0.329 0.559
0.762 0.623 0.977
0.799 0.009 0.040
0.835 0.999 0.362
0.836 0.469 0.596
0.871 0.781 0.542
0.888 0.329 0.093
0.932 0.881 0.121
0.946 0.267 0.794
0.962 0.019 0.826
0.965 0.608 0.753
0.969 0.842 0.323
0.026 0.790 0.462
0.042 0.299 0.469
0.121 0.900 0.244
0.132 0.088 0.044
0.141 0.628 0.727
0.150 0.121 0.670
0.183 0.810 0.973
0.189 0.516 0.438
0.194 0.364 0.880
0.203 0.566 0.017
0.226 0.093 0.912
0.229 0.286 0.162
0.248 0.120 0.367
0.263 0.710 0.252
0.273 0.792 0.512
0.277 0.898 0.738
0.362 0.291 0.535
0.371 0.960 0.102
0.406 0.629 0.808
0.412 0.668 0.260
0.441 0.367 0.979
0.475 0.561 0.477
0.482 0.178 0.236
0.494 0.491 0.247
0.520 0.110 0.744
0.524 0.398 0.705
0.538 0.811 0.611
0.549 0.840 0.858
0.563 0.878 0.324
0.640 0.278 0.465
0.653 0.947 0.098
0.654 0.674 0.113
0.664 0.536 0.877
0.703 0.366 0.081
0.721 0.622 0.647
0.748 0.107 0.262
0.761 0.265 0.801
0.765 0.922 0.498
0.766 0.963 0.693
0.789 0.987 0.845
0.807 0.424 0.251
0.826 0.712 0.693
0.841 0.558 0.449
0.871 0.151 0.997
0.873 0.761 0.221
0.915 0.487 0.327
0.930 0.630 0.924
0.971 0.446 0.688
0.978 0.206 0.254
0.989 0.122 0.686